A plane-wave DFT calculation with GGA-PBE was carried out for a relaxed structure of RbCaBr3.

a b c (Å): 7.850 8.164 11.284
angles (deg): 90.00 90.00 90.00
Fractional coordinates of all 20 atoms:
Rb 0.020 0.435 0.250
Rb 0.980 0.565 0.750
Rb 0.520 0.065 0.750
Rb 0.480 0.935 0.250
Ca 0.000 0.000 0.000
Ca 0.500 0.500 0.000
Ca 0.000 0.000 0.500
Ca 0.500 0.500 0.500
Br 0.299 0.204 0.045
Br 0.701 0.796 0.955
Br 0.799 0.296 0.955
Br 0.701 0.796 0.545
Br 0.201 0.704 0.045
Br 0.299 0.204 0.455
Br 0.201 0.704 0.455
Br 0.799 0.296 0.545
Br 0.589 0.523 0.250
Br 0.411 0.477 0.750
Br 0.089 0.977 0.750
Br 0.911 0.023 0.250

Results
**Density**: 3.36 g/cm³
**Space-group type**: Pnma, No. 62
**V**: 36.2 Å³ per atom
**DFT total energy**: -17.72 eV/f.u.

***

A plane-wave DFT calculation with GGA-PBE was carried out for a relaxed structure of MgF2.

a b c (Å): 5.754 5.754 5.754
angles (deg): 140.21 110.03 83.63
Fractional coordinates of all 6 atoms:
Mg 0.855 0.605 0.250
Mg 0.145 0.395 0.750
F 0.091 0.841 0.250
F 0.500 0.500 0.000
F 0.909 0.159 0.750
F 0.000 0.500 0.500

Results
**Density**: 1.87 g/cm³
**Space-group type**: Imma, No. 74
**V**: 18.5 Å³ per atom
**DFT total energy**: -15.69 eV/f.u.

***

A plane-wave DFT calculation with GGA-PBE was carried out for a relaxed structure of Ca2In.

a b c (Å): 5.384 7.260 10.007
angles (deg): 90.00 90.00 90.00
Fractional coordinates of all 12 atoms:
Ca 0.750 0.466 0.798
Ca 0.250 0.534 0.202
Ca 0.750 0.966 0.702
Ca 0.250 0.034 0.298
Ca 0.750 0.326 0.435
Ca 0.250 0.674 0.565
Ca 0.750 0.826 0.065
Ca 0.250 0.174 0.935
In 0.750 0.276 0.113
In 0.250 0.724 0.887
In 0.750 0.776 0.387
In 0.250 0.224 0.613

Results
**Density**: 3.31 g/cm³
**Space-group type**: Pnma, No. 62
**V**: 32.6 Å³ per atom
**DFT total energy**: -7.85 eV/f.u.

***

A plane-wave DFT calculation with GGA-PBE was carried out for a relaxed structure of NaCu2S2O10.

a b c (Å): 5.404 5.404 8.237
angles (deg): 64.29 64.29 68.21
Fractional coordinates of all 15 atoms:
Na 0.500 0.500 0.500
Cu 0.000 0.500 0.000
Cu 0.500 0.000 0.000
S 0.082 0.082 0.707
S 0.918 0.918 0.293
O 0.179 0.179 0.807
O 0.821 0.821 0.193
O 0.198 0.198 0.501
O 0.802 0.802 0.499
O 0.761 0.173 0.761
O 0.173 0.761 0.761
O 0.239 0.827 0.239
O 0.827 0.239 0.239
O 0.668 0.668 0.957
O 0.332 0.332 0.043

Results
**Density**: 3.27 g/cm³
**Space-group type**: C2/m, No. 12
**V**: 12.7 Å³ per atom
**DFT total energy**: -82.27 eV/f.u.

***

Which value of V does entry 1 give? 36.2 Å³ per atom